(1)
A plane-wave DFT calculation with PBE with a Hubbard U was carried out for LiVPO5 after structural relaxation.

## Properties
calculated volume	412	Å³ per cell
spin magnetization	0.0	μB/f.u.
energy of formation	-20.844	eV/f.u.
mass density	2.7	Mg/m³
total DFT energy (no corrections)	-7.11	eV per atom

The structure in extended XYZ format:
```
32
Lattice="-2.5455 -3.2044 3.6617 4.3991 -4.0421 -4.1539 7.7188 -1.6394 8.3729" Properties=species:S:1:pos:R:3 pbc="T T T"
O 7.4233 -2.5566 6.8768
O 7.9204 -5.9328 8.9109
O 2.0390 -3.3545 7.0649
O 1.6495 -2.9533 -1.0289
O -0.1572 -3.5476 4.3466
O 4.5558 -2.8455 2.7627
O 5.9245 -4.6813 -1.0896
O 3.6485 -4.2043 8.9703
O 6.3088 -5.0813 7.0062
O 2.3960 -4.0984 3.2527
O 0.2294 -1.5966 1.1773
O 9.7297 -5.3384 3.5342
O 7.1767 -4.7880 4.6278
O 7.5344 -5.5313 0.8154
O 9.3428 -7.2892 6.7044
O 4.4899 -5.3596 2.4459
O 5.0167 -6.0402 5.1173
O 5.0828 -3.5262 5.4342
O 3.2629 -3.8048 0.8743
O 2.1492 -6.3292 1.0043
Li 8.1279 -6.3810 3.8464
Li 1.4447 -2.5051 4.0341
Li 8.7780 -3.7443 4.3175
Li 0.7944 -5.1420 3.5631
V 7.7988 -4.1620 7.8866
V 1.7713 -4.7238 -0.0048
V 4.7052 -1.9207 4.4269
V 4.8682 -6.9652 3.4533
P 4.0351 -4.4639 10.4883
P 5.9248 -4.8232 5.4872
P 5.5374 -4.4218 -2.6075
P 3.6477 -4.0627 2.3931
```

=====

(2)
A plane-wave DFT calculation with PBE with a Hubbard U was carried out for NiMoO3 after structural relaxation.

## Properties
calculated volume	61	Å³ per cell
spin magnetization	2.3	μB/f.u.
energy of formation	-3.819	eV/f.u.
mass density	5.6	Mg/m³
total DFT energy (no corrections)	-5.50	eV per atom

The structure in extended XYZ format:
```
5
Lattice="3.9276 0.0000 0.0000 0.0000 3.9276 0.0000 0.0000 0.0000 3.9276" Properties=species:S:1:pos:R:3 pbc="T T T"
Ni 0.0000 0.0000 0.0000
Mo 1.9638 1.9638 1.9638
O 0.0000 1.9638 1.9638
O 1.9638 0.0000 1.9638
O 1.9638 1.9638 0.0000
```

=====

(3)
A plane-wave DFT calculation with PBE with a Hubbard U was carried out for YTlMo2O8 after structural relaxation.

## Properties
calculated volume	873	Å³ per cell
spin magnetization	0.0	μB/f.u.
energy of formation	-28.443	eV/f.u.
mass density	4.7	Mg/m³
total DFT energy (no corrections)	-7.22	eV per atom

The structure in extended XYZ format:
```
48
Lattice="15.5329 0.0000 0.0000 0.0000 6.1355 0.0000 0.0000 0.0000 9.1636" Properties=species:S:1:pos:R:3 pbc="T T T"
Y 1.6435 1.5339 1.7908
Y 6.1230 4.6016 6.3726
Y 9.4099 1.5339 2.7910
Y 13.8894 4.6016 7.3728
Tl 1.9533 4.6016 5.1372
Tl 5.8132 1.5339 0.5553
Tl 9.7197 4.6016 8.6083
Tl 13.5797 1.5339 4.0265
Mo 0.6162 1.5339 7.1569
Mo 3.3513 4.6016 9.1126
Mo 4.4152 1.5339 4.5307
Mo 7.1503 4.6016 2.5751
Mo 8.3827 1.5339 6.5886
Mo 11.1177 4.6016 4.6329
Mo 12.1816 1.5339 0.0511
Mo 14.9167 4.6016 2.0068
O 0.2505 3.1317 2.6699
O 0.2505 6.0715 2.6699
O 0.5763 1.5339 8.9489
O 2.1951 4.6016 7.7984
O 2.2738 1.5339 6.6001
O 2.7774 1.5339 3.7428
O 3.0544 3.0947 0.9193
O 3.0544 6.1085 0.9193
O 4.7120 0.0269 5.5011
O 4.7120 3.0408 5.5011
O 4.9890 4.6016 8.3246
O 5.4927 4.6016 2.0183
O 5.5713 1.5339 3.2166
O 7.1902 4.6016 4.3671
O 7.5160 0.0639 7.2517
O 7.5160 3.0038 7.2517
O 8.0169 3.1317 1.9119
O 8.0169 6.0715 1.9119
O 8.3427 1.5339 4.7966
O 9.9616 4.6016 5.9471
O 10.0402 1.5339 7.1453
O 10.5439 1.5339 0.8390
O 10.8209 3.0947 3.6625
O 10.8209 6.1085 3.6625
O 12.4785 0.0269 8.2443
O 12.4785 3.0408 8.2443
O 12.7555 4.6016 5.4208
O 13.2591 4.6016 2.5635
O 13.3378 1.5339 1.3653
O 14.9566 4.6016 0.2147
O 15.2824 0.0639 6.4938
O 15.2824 3.0038 6.4938
```

=====

(4)
A plane-wave DFT calculation with PBE with a Hubbard U was carried out for Na3CoO3 after structural relaxation.

## Properties
calculated volume	387	Å³ per cell
energy of formation	-10.936	eV/f.u.
mass density	3.0	Mg/m³
total DFT energy (no corrections)	-4.74	eV per atom

The structure in extended XYZ format:
```
28
Lattice="6.6781 0.0000 0.0000 0.0000 6.0046 0.0000 -0.6187 0.0000 9.6472" Properties=species:S:1:pos:R:3 pbc="T T T"
Na 0.4420 0.8384 1.4579
Na 0.1327 2.1639 6.2815
Na 1.8554 4.3147 7.8038
Na 2.1647 4.6922 2.9802
Na 1.9026 1.2207 8.8800
Na 2.2120 1.7816 4.0564
Na 3.8475 4.2230 5.5907
Na 4.1568 4.7839 0.7672
Na 3.8947 1.3124 6.6670
Na 4.2041 1.6899 1.8434
Na 5.9268 3.8407 3.3656
Na 5.6174 5.1662 8.1892
Co 1.1331 3.5900 0.6216
Co 0.8237 5.4169 5.4452
Co 5.2357 0.5877 4.2020
Co 4.9264 2.4146 9.0256
O 0.4306 0.2086 3.6914
O 0.1213 2.7937 8.5150
O 1.3950 3.7370 5.0794
O 1.7043 5.2699 0.2558
O 1.8608 0.4085 6.5361
O 2.1701 2.5938 1.7125
O 3.8893 3.4108 7.9347
O 4.1987 5.5961 3.1111
O 4.3551 0.7347 9.3913
O 4.6645 2.2676 4.5677
O 5.9381 3.2109 1.1322
O 5.6288 5.7960 5.9557
```

=====

(5)
A plane-wave DFT calculation with PBE with a Hubbard U was carried out for Li9Mn15O32 after structural relaxation.

## Properties
calculated volume	584	Å³ per cell
spin magnetization	50.0	μB/f.u.
energy of formation	-115.324	eV/f.u.
mass density	4.0	Mg/m³
total DFT energy (no corrections)	-6.81	eV per atom

The structure in extended XYZ format:
```
56
Lattice="5.8710 0.0000 0.0000 0.0097 8.4377 0.0000 0.1511 0.0048 11.7921" Properties=species:S:1:pos:R:3 pbc="T T T"
Li 0.0000 0.0000 0.0000
Li 5.9085 2.0845 2.8609
Li 3.0737 6.2213 11.6613
Li 3.0401 4.1148 8.7336
Li 3.0374 6.2919 5.8447
Li 4.4461 3.0982 5.8580
Li 5.8388 8.3852 5.8676
Li 5.8850 2.0877 8.6895
Li 5.8733 5.2686 1.3715
Mn 6.0055 5.2030 10.2436
Mn 1.4844 3.1132 5.8287
Mn 1.5256 7.3301 8.7470
Mn 1.4711 7.3295 2.8908
Mn 1.5939 3.1971 11.7112
Mn 2.9078 1.0296 7.2641
Mn 3.0069 1.0732 10.2131
Mn 2.9527 0.9912 4.3818
Mn 2.9383 4.2135 2.9521
Mn 2.9668 1.0017 1.4021
Mn 4.4554 7.3197 8.7590
Mn 4.4427 7.3216 2.9145
Mn 4.5775 3.1754 11.7177
Mn 5.9451 5.1657 7.2980
Mn 5.9095 5.2285 4.4149
O 6.0083 7.1537 10.1269
O 0.1525 3.2287 10.3840
O 0.1462 3.2918 7.1675
O 0.1489 3.3450 4.4347
O 1.4345 5.3608 8.7400
O 1.3572 5.4310 3.0061
O 1.4863 5.0792 11.5639
O 1.4111 5.0848 5.8403
O 1.5275 0.8078 8.6551
O 1.5875 1.1378 5.7893
O 1.6513 0.8612 2.8807
O 1.7783 1.1987 11.7337
O 2.8313 2.9086 7.1741
O 2.9065 7.4747 7.4133
O 2.8942 2.9052 4.4614
O 2.9975 7.4573 10.0329
O 2.9399 7.4629 4.2173
O 2.9335 3.2183 1.1929
O 3.0772 3.0494 10.4195
O 2.9714 7.2665 1.6455
O 4.1618 0.9707 5.8302
O 4.2037 1.0243 8.6836
O 4.2655 0.8612 2.9418
O 4.3039 1.2174 0.0277
O 4.5478 5.4069 3.0698
O 4.6712 5.0758 11.5634
O 4.7169 5.1878 8.7609
O 4.6950 5.2439 5.8842
O 5.9282 7.1742 7.4781
O 5.9054 7.2502 4.2245
O 5.8792 7.3446 1.6718
O 5.8758 3.1819 1.1720
```

=====

(6)
A plane-wave DFT calculation with PBE with a Hubbard U was carried out for Li4MnV3P8O28 after structural relaxation.

## Properties
calculated volume	537	Å³ per cell
spin magnetization	10.0	μB/f.u.
energy of formation	-118.439	eV/f.u.
mass density	2.9	Mg/m³
total DFT energy (no corrections)	-7.23	eV per atom

The structure in extended XYZ format:
```
44
Lattice="4.8599 0.0000 0.0000 -2.2098 10.5924 0.0000 -2.3432 -2.2946 10.4348" Properties=species:S:1:pos:R:3 pbc="T T T"
Li 0.0000 0.0000 0.0000
Li 2.5886 4.1374 5.2057
Li -1.4008 2.3798 9.6519
Li -1.3261 8.8346 4.4328
Mn 2.4974 1.5799 6.8152
V 0.9947 2.5561 1.3855
V -1.2790 6.7087 6.6084
V 2.5550 8.0372 1.6141
P 0.1880 5.8755 1.7681
P 0.1175 -0.5494 6.9922
P 2.3421 -0.3508 1.9814
P 0.0727 3.7730 7.2024
P 1.1705 6.8387 4.3529
P 1.1027 0.4100 9.5871
P 1.0673 6.0911 8.7010
P 3.3516 1.9556 3.4731
O -3.8661 6.3615 10.1956
O -1.5675 2.2434 4.9624
O -1.3273 -0.0426 7.0817
O -1.2344 6.3949 1.8921
O -0.0887 1.9288 2.9313
O -2.3697 6.0871 8.1600
O -2.0500 8.6355 6.4039
O 0.2456 4.4785 1.1770
O -0.8173 9.1558 2.5127
O -0.8792 2.6992 7.7396
O 1.6421 0.6232 1.0375
O -0.6133 4.7683 6.2610
O -0.1897 0.8964 10.2548
O 1.0275 0.3915 6.1903
O -0.1093 7.3489 5.0331
O 1.0969 6.8345 0.9796
O 0.6757 -0.7229 8.5010
O 0.7521 5.7027 3.2873
O 2.7652 0.4371 3.3219
O 0.4936 4.5749 8.5381
O 2.4423 2.9269 2.6999
O 0.1641 7.0711 7.9264
O 1.3524 3.2187 6.5412
O 1.4090 9.6944 1.3264
O 1.8866 7.9564 3.5954
O 1.8118 1.5372 8.8555
O 4.3760 1.9184 0.0887
O 2.1089 6.0797 5.3066
```

=====

(7)
A plane-wave DFT calculation with PBE with a Hubbard U was carried out for NaFeAsCO7 after structural relaxation.

## Properties
calculated volume	337	Å³ per cell
spin magnetization	4.0	μB/f.u.
energy of formation	-18.836	eV/f.u.
mass density	2.7	Mg/m³
total DFT energy (no corrections)	-6.37	eV per atom

The structure in extended XYZ format:
```
22
Lattice="5.3975 0.0000 0.0000 0.0000 6.6817 0.0000 -0.4340 0.0000 9.3420" Properties=species:S:1:pos:R:3 pbc="T T T"
Na 1.1392 0.0000 2.5172
Na 3.8243 3.3409 6.8248
Fe 0.7494 5.2136 7.9600
Fe 4.2141 1.8727 1.3821
As 1.0963 1.8108 8.6735
As 3.8672 5.1516 0.6685
C 1.2344 5.0994 5.4411
C 3.7290 1.7586 3.9009
O 0.0351 5.1189 5.9248
O 0.6818 1.7221 0.8257
O 0.7145 3.1755 7.7156
O 0.7893 0.4584 7.6843
O 1.4641 5.1380 4.2075
O 2.1754 5.2283 0.2783
O 2.1834 5.0517 6.3281
O 2.7800 1.7108 3.0139
O 2.7881 1.8874 9.0637
O 3.4994 1.7971 5.1345
O 4.1742 3.7993 1.6577
O 4.2490 6.5164 1.6264
O 4.2817 5.0629 8.5163
O 4.9284 1.7780 3.4172
```

=====

(8)
A plane-wave DFT calculation with PBE with a Hubbard U was carried out for VH10SO10 after structural relaxation.

## Properties
calculated volume	434	Å³ per cell
spin magnetization	1.0	μB/f.u.
energy of formation	-33.510	eV/f.u.
mass density	1.9	Mg/m³
total DFT energy (no corrections)	-5.53	eV per atom

The structure in extended XYZ format:
```
44
Lattice="7.4873 0.0000 0.0000 0.0000 9.2417 0.0000 0.0000 0.0000 6.2649" Properties=species:S:1:pos:R:3 pbc="T T T"
V 0.0000 2.0010 0.0000
V 3.7436 7.2408 3.1325
H 0.0000 2.0532 3.3859
H 0.0000 3.5743 3.7084
H 1.1849 9.1607 5.1032
H 1.3325 4.3581 0.0351
H 1.4974 8.0478 1.8601
H 1.8439 5.9105 4.3138
H 1.8997 3.3312 1.1813
H 2.2463 1.1939 4.9925
H 2.4112 4.8836 3.1675
H 2.5588 0.0811 1.9708
H 3.7436 5.6674 0.5759
H 3.7436 7.1886 0.2534
H 4.9285 0.0811 1.9708
H 5.0761 4.8836 3.1675
H 5.2410 1.1939 4.9925
H 5.5876 3.3312 1.1813
H 5.6434 5.9105 4.3138
H 5.9899 8.0478 1.8601
H 6.1548 4.3581 0.0351
H 6.3024 9.1607 5.1032
S 0.0000 6.7624 5.9912
S 3.7436 2.4793 2.8587
O 0.0000 1.4443 1.5362
O 0.0000 2.6992 4.1319
O 0.0000 7.2655 1.1165
O 0.0000 7.8625 4.9948
O 1.2192 5.9019 5.7595
O 1.4673 0.8005 5.4692
O 1.4723 3.3914 0.2647
O 2.2713 5.8504 3.3972
O 2.2763 8.4412 2.3367
O 2.5245 3.3399 2.6271
O 3.7436 1.3792 1.8623
O 3.7436 1.9762 4.2489
O 3.7436 6.5425 0.9995
O 3.7436 7.7974 4.6687
O 4.9628 3.3399 2.6271
O 5.2110 8.4412 2.3367
O 5.2160 5.8504 3.3972
O 6.0150 3.3914 0.2647
O 6.0200 0.8005 5.4692
O 6.2681 5.9019 5.7595
```

=====

(9)
A plane-wave DFT calculation with PBE with a Hubbard U was carried out for LiVSiO4 after structural relaxation.

## Properties
calculated volume	1467	Å³ per cell
spin magnetization	2.0	μB/f.u.
energy of formation	-19.420	eV/f.u.
mass density	2.7	Mg/m³
total DFT energy (no corrections)	-7.31	eV per atom

The structure in extended XYZ format:
```
112
Lattice="8.9405 -5.0325 0.0000 8.9405 5.0325 0.0000 -2.5876 0.0000 16.3056" Properties=species:S:1:pos:R:3 pbc="T T T"
Li 7.6467 4.5149 8.1528
Li 0.1504 0.6392 12.2335
Li 3.7452 1.6657 8.1393
Li 1.4442 -0.6392 4.0807
Li 5.9763 1.8289 4.0587
Li 6.9132 0.8514 16.2747
Li 2.4514 -1.6657 16.2921
Li 8.5803 0.9332 12.1911
Li 4.6825 -1.8289 12.2115
Li 12.1283 1.9824 8.1412
Li 8.2070 -0.8514 8.1219
Li 14.2728 1.6097 4.0877
Li 9.8741 -0.9332 4.0383
Li 10.8345 -1.9824 16.2939
Li 8.9405 -4.5149 0.0000
Li 12.9790 -1.6097 12.2405
V 7.7726 3.1461 14.2879
V 3.3318 0.5988 14.2971
V 9.9558 3.3943 10.2153
V 4.6256 -0.5988 6.1443
V 6.0749 0.5307 10.2019
V 9.6391 1.5981 6.1370
V 7.3687 -0.5307 2.0492
V 11.8438 1.9596 2.0623
V 12.7721 0.9374 14.2953
V 8.3453 -1.5981 14.2898
V 14.4301 0.8881 10.2459
V 9.0665 -3.1461 6.1351
V 10.5500 -1.9596 10.2151
V 14.0659 -0.9374 6.1426
V 11.2496 -3.3943 2.0626
V 15.7239 -0.8881 2.0931
Si 4.7826 3.1604 15.3060
Si 0.3368 0.6437 15.2937
Si 7.0765 3.4368 11.2052
Si 3.1356 0.6210 11.1799
Si 1.6306 -0.6437 7.1410
Si 6.6278 1.5867 7.1192
Si 4.4294 -0.6210 3.0271
Si 8.9334 1.8987 3.0257
Si 9.7785 0.9408 15.2746
Si 5.3339 -1.5867 15.2720
Si 11.5886 0.9304 11.2070
Si 7.6396 -1.8987 11.1785
Si 6.0764 -3.1604 7.1533
Si 11.0723 -0.9408 7.1218
Si 8.3703 -3.4368 3.0524
Si 12.8825 -0.9304 3.0542
O 5.6046 4.1321 10.9923
O 3.0618 1.6599 0.2792
O 7.5326 4.1536 0.3056
O 0.3906 0.4098 7.3721
O 2.9496 1.6872 9.9384
O 6.6878 3.2127 6.8884
O -0.9032 -0.4098 15.5248
O 3.5596 2.0860 15.5287
O 3.3237 1.4965 12.5663
O 7.8423 4.0104 12.5496
O 8.0689 3.7891 9.9316
O 3.0853 0.3108 3.2153
O 7.5857 2.8156 3.2451
O 3.0153 0.2099 6.8701
O 1.7915 -0.3108 11.3681
O 6.1715 2.3243 15.0072
O 1.7215 -0.2099 15.0229
O 5.7037 1.1864 8.4279
O 10.2693 3.4194 5.8380
O 5.8427 0.8962 5.8396
O 6.9123 1.8069 11.3798
O 10.2551 2.8376 2.7472
O 5.7638 0.3023 2.7502
O 1.7680 -1.6599 8.4320
O 4.4700 -0.3023 10.9029
O 8.6964 0.8603 1.7635
O 8.1666 1.0314 7.2831
O 4.2434 -1.6872 1.7856
O 4.6175 -1.4965 4.4136
O 9.2103 0.9618 4.3548
O 8.9487 1.6242 14.0215
O 4.5489 -0.8962 13.9924
O 10.1173 1.6381 11.0126
O 6.9975 -1.1864 0.2751
O 11.4562 1.2989 0.2979
O 4.8534 -2.0860 7.3759
O 7.4026 -0.8603 9.9163
O 11.3030 1.5311 15.4230
O 11.1809 0.6827 6.8716
O 6.8727 -1.0314 15.4359
O 7.9165 -0.9618 12.5076
O 12.4430 1.5356 12.4831
O 12.5474 1.2451 9.8975
O 8.2062 -1.8069 3.2270
O 12.6728 0.6893 3.2526
O 7.4654 -2.3243 6.8544
O 6.2919 -2.8156 11.3979
O 5.3940 -3.2127 15.0412
O 9.8870 -0.6827 15.0244
O 10.1624 -1.2989 8.4507
O 14.6651 0.8862 5.8780
O 10.2425 -1.6242 5.8687
O 11.3790 -0.6893 11.4054
O 6.8984 -4.1321 2.8395
O 11.4111 -1.6381 2.8598
O 6.2388 -4.1536 8.4584
O 8.9613 -2.8376 10.9000
O 13.8412 -1.2451 1.7447
O 9.3627 -3.7891 1.7788
O 12.5968 -1.5311 7.2702
O 9.1361 -4.0104 4.3968
O 13.7368 -1.5356 4.3303
O 13.3712 -0.8862 14.0307
O 8.9755 -3.4194 13.9908
```